(1)
Density functional theory data (PBE with a Hubbard U) for a relaxed TiFe3Sb2P6O24 crystal.

Cell: 8.9054 8.9054 8.9054 Å, 58.80 58.80 58.80°
Closest atoms and distances in Å follow each position.
Positions (direct):
1 O 0.4733 0.8951 0.7056  1 P 1.51
2 Fe 0.8440 0.8440 0.8440  3 O 1.90
3 O 0.2663 0.0801 0.9185  1 P 1.57
4 O 0.9417 0.0778 0.7340  1 P 1.61
5 O 0.5553 0.7720 0.4066  1 P 1.55
6 O 0.6153 0.0107 0.7988  1 P 1.54
7 O 0.7720 0.4066 0.5553  1 P 1.55
8 O 0.0154 0.1819 0.3846  1 P 1.54
9 Sb 0.4991 0.4991 0.4991  6 O 2.31-2.37
10 O 0.4357 0.2393 0.5832  1 P 1.58
11 O 0.0801 0.9185 0.2663  1 P 1.57
12 O 0.3846 0.0154 0.1819  1 P 1.54
13 O 0.2393 0.5832 0.4357  1 P 1.58
14 O 0.5832 0.4357 0.2393  1 P 1.58
15 P 0.2481 0.5392 0.9645  4 O 1.52-1.61
16 O 0.7988 0.6153 0.0107  1 P 1.54
17 Sb 0.9859 0.9859 0.9859  3 O 2.13
18 P 0.4538 0.0474 0.7511  4 O 1.51-1.58
19 Fe 0.6490 0.6490 0.6490  6 O 2.07-2.24
20 P 0.7511 0.4538 0.0474  4 O 1.51-1.58
21 O 0.7056 0.4733 0.8951  1 P 1.51
22 Ti 0.1452 0.1452 0.1452  6 O 1.94-1.97
23 O 0.4066 0.5553 0.7720  1 P 1.55
24 O 0.1167 0.3016 0.5111  1 P 1.52
25 Fe 0.3519 0.3519 0.3519  6 O 1.96-2.12
26 O 0.5111 0.1167 0.3016  1 P 1.52
27 O 0.8951 0.7056 0.4733  1 P 1.51
28 P 0.9645 0.2481 0.5392  4 O 1.52-1.61
29 P 0.5392 0.9645 0.2481  4 O 1.52-1.61
30 O 0.0778 0.7340 0.9417  1 P 1.61
31 O 0.3016 0.5111 0.1167  1 P 1.52
32 O 0.7340 0.9417 0.0778  1 P 1.61
33 P 0.0474 0.7511 0.4538  4 O 1.51-1.58
34 O 0.0107 0.7988 0.6153  1 P 1.54
35 O 0.9185 0.2663 0.0801  1 P 1.57
36 O 0.1819 0.3846 0.0154  1 P 1.54

Energy relative to the elements (meV/atom): -2452

***

(2)
Density functional theory data (PBE with a Hubbard U) for a relaxed MgV4O8 crystal.

Cell: 3.7428 6.5655 6.6136 Å, 107.13 90.00 106.56°
Closest atoms and distances in Å follow each position.
Positions (direct):
1 V 0.3019 0.6038 0.7119  5 O 1.81-1.98
2 V 0.6028 0.2056 0.6898  6 O 1.96-2.16
3 Mg 0.0000 0.0000 0.0000  4 O 2.28
4 O 0.1515 0.3030 0.7404  3 V 1.96-1.97
5 V 0.6981 0.3962 0.2881  5 O 1.81-1.98
6 O 0.6065 0.2131 0.0168  1 V 1.81
7 O 0.4402 0.8804 0.6299  3 V 1.96-2.01
8 V 0.3972 0.7944 0.3102  6 O 1.96-2.16
9 O 0.8485 0.6970 0.2596  3 V 1.96-1.97
10 O 0.3935 0.7869 0.9832  1 V 1.81
11 O 0.7661 0.5322 0.6464  3 V 1.94-2.16
12 O 0.5598 0.1196 0.3701  3 V 1.96-2.01
13 O 0.2339 0.4678 0.3536  3 V 1.94-2.16

Energy relative to the elements (meV/atom): -2457
ΔE to the lowest computed polymorph (meV/atom): 85

***

(3)
Density functional theory data (PBE with a Hubbard U) for a relaxed NaVTeO5 crystal.

Cell: 11.7583 5.9375 6.9138 Å, 76.78 90.00 90.00°
Closest atoms and distances in Å follow each position.
Positions (direct):
1 O 0.2848 0.8519 0.1599  1 V 1.70
2 O 0.7152 0.1481 0.8401  1 V 1.70
3 O 0.9789 0.4381 0.2203  1 V 1.81
4 O 0.9438 0.1733 0.6422  1 V 1.85, 1 Te 1.95
5 O 0.2152 0.8519 0.6599  1 V 1.70
6 Te 0.0589 0.7579 0.0949  4 O 1.94-2.14
7 O 0.4087 0.1184 0.4792  2 Te 1.94-2.14
8 O 0.0562 0.8267 0.3578  1 V 1.85, 1 Te 1.95
9 O 0.9087 0.8816 0.0208  2 Te 1.94-2.14
10 O 0.0211 0.5619 0.7797  1 V 1.81
11 O 0.5562 0.1733 0.1422  1 V 1.85, 1 Te 1.95
12 Na 0.2187 0.1669 0.3200  5 O 2.42-2.65
13 Te 0.4411 0.7579 0.5949  4 O 1.94-2.14
14 V 0.6253 0.3365 0.9127  4 O 1.67-1.85
15 O 0.5913 0.8816 0.5208  2 Te 1.94-2.14
16 V 0.3747 0.6635 0.0873  4 O 1.67-1.85
17 O 0.1999 0.4417 0.5409  1 V 1.67
18 O 0.4789 0.5619 0.2797  1 V 1.81
19 Te 0.9411 0.2421 0.9051  4 O 1.94-2.14
20 Na 0.7813 0.8331 0.6800  5 O 2.42-2.65
21 V 0.8747 0.3365 0.4127  4 O 1.67-1.85
22 O 0.7848 0.1481 0.3401  1 V 1.70
23 O 0.3001 0.4417 0.0409  1 V 1.67
24 O 0.6999 0.5583 0.9591  1 V 1.67
25 O 0.5211 0.4381 0.7203  1 V 1.81
26 O 0.0913 0.1184 0.9792  2 Te 1.94-2.14
27 O 0.8001 0.5583 0.4591  1 V 1.67
28 Te 0.5589 0.2421 0.4051  4 O 1.94-2.14
29 O 0.4438 0.8267 0.8578  1 V 1.85, 1 Te 1.95
30 V 0.1253 0.6635 0.5873  4 O 1.67-1.85
31 Na 0.2813 0.1669 0.8200  5 O 2.42-2.65
32 Na 0.7187 0.8331 0.1800  5 O 2.42-2.65

Energy relative to the elements (meV/atom): -2050

***

Which of these has the lowest energy relative to the elements?
MgV4O8